First-principles (r2SCAN) data for a geometry-optimized Hf2Al3Ag structure, as listed in the Materials Project database.

a = 5.2392 Å, b = 5.2392 Å, c = 5.2392 Å
α = 60.98°, β = 60.98°, γ = 60.98°
Atoms (fractional coordinates):
Hf1 0.6234 0.6234 0.6234
Hf2 0.3766 0.3766 0.3766
Al1 0.0000 0.5000 0.0000
Al2 0.5000 0.0000 0.0000
Al3 0.0000 0.0000 0.5000
Ag1 0.0000 0.0000 0.0000

***

First-principles (r2SCAN) data for a geometry-optimized AlAgSe2 structure, as listed in the Materials Project database.

a = 5.9752 Å, b = 5.9752 Å, c = 6.9443 Å
α = 115.48°, β = 115.48°, γ = 90.00°
Atoms (fractional coordinates):
Al1 0.5000 0.5000 0.0000
Al2 0.7500 0.2500 0.5000
Ag1 0.2500 0.7500 0.5000
Ag2 0.0000 0.0000 0.0000
Se1 0.8375 0.8750 0.2500
Se2 0.6250 0.1625 0.7500
Se3 0.4125 0.3750 0.2500
Se4 0.1250 0.5875 0.7500

***

First-principles (r2SCAN) data for a geometry-optimized Sm2AlAg3 structure, as listed in the Materials Project database.

a = 5.7788 Å, b = 5.7788 Å, c = 7.2527 Å
α = 53.27°, β = 53.27°, γ = 47.36°
Atoms (fractional coordinates):
Sm1 0.4603 0.4603 0.2939
Sm2 0.5424 0.5424 0.7066
Al1 0.8292 0.8292 0.1139
Ag1 0.1516 0.1516 0.8906
Ag2 0.1761 0.1761 0.2803
Ag3 0.8404 0.8404 0.7149

***

First-principles (r2SCAN) data for a geometry-optimized SmAlAg2 structure, as listed in the Materials Project database.

a = 4.8699 Å, b = 4.8699 Å, c = 4.8699 Å
α = 60.00°, β = 60.00°, γ = 60.00°
Atoms (fractional coordinates):
Sm1 0.7500 0.7500 0.7500
Al1 0.2500 0.2500 0.2500
Ag1 0.0000 0.0000 0.0000
Ag2 0.5000 0.5000 0.5000

***

First-principles (r2SCAN) data for a geometry-optimized TbAlAg2 structure, as listed in the Materials Project database.

a = 4.8099 Å, b = 4.8099 Å, c = 4.8099 Å
α = 60.00°, β = 60.00°, γ = 60.00°
Atoms (fractional coordinates):
Tb1 0.7500 0.7500 0.7500
Al1 0.2500 0.2500 0.2500
Ag1 0.5000 0.5000 0.5000
Ag2 0.0000 0.0000 0.0000

***

First-principles (r2SCAN) data for a geometry-optimized YbAlAg2 structure, as listed in the Materials Project database.

a = 4.7377 Å, b = 4.7377 Å, c = 4.7377 Å
α = 60.00°, β = 60.00°, γ = 60.00°
Atoms (fractional coordinates):
Yb1 0.0000 0.0000 0.0000
Al1 0.5000 0.5000 0.5000
Ag1 0.7500 0.7500 0.7500
Ag2 0.2500 0.2500 0.2500

***

First-principles (r2SCAN) data for a geometry-optimized BaAgAs structure, as listed in the Materials Project database.

a = 4.6321 Å, b = 4.6321 Å, c = 9.0749 Å
α = 90.00°, β = 90.00°, γ = 120.00°
Atoms (fractional coordinates):
Ba1 0.0000 0.0000 0.5000
Ba2 0.0000 0.0000 0.0000
Ag1 0.3333 0.6667 0.7500
Ag2 0.6667 0.3333 0.2500
As1 0.6667 0.3333 0.7500
As2 0.3333 0.6667 0.2500

***

First-principles (r2SCAN) data for a geometry-optimized EuAgAs structure, as listed in the Materials Project database.

a = 4.5130 Å, b = 4.5130 Å, c = 8.0869 Å
α = 90.00°, β = 90.00°, γ = 120.00°
Atoms (fractional coordinates):
Eu1 0.0000 0.0000 0.5000
Eu2 0.0000 0.0000 0.0000
Ag1 0.3333 0.6667 0.7500
Ag2 0.6667 0.3333 0.2500
As1 0.6667 0.3333 0.7500
As2 0.3333 0.6667 0.2500

***

First-principles (r2SCAN) data for a geometry-optimized AgAsF6 structure, as listed in the Materials Project database.

a = 5.8772 Å, b = 5.8772 Å, c = 5.8772 Å
α = 60.00°, β = 60.00°, γ = 60.00°
Atoms (fractional coordinates):
Ag1 0.5000 0.5000 0.5000
As1 0.0000 0.0000 0.0000
F1 0.2104 0.7896 0.2104
F2 0.2104 0.2104 0.7896
F3 0.7896 0.2104 0.2104
F4 0.2104 0.7896 0.7896
F5 0.7896 0.7896 0.2104
F6 0.7896 0.2104 0.7896

***

First-principles (r2SCAN) data for a geometry-optimized Mn3AgAs3H2O12 structure, as listed in the Materials Project database.

a = 8.8403 Å, b = 8.8403 Å, c = 6.9118 Å
α = 73.95°, β = 73.95°, γ = 91.43°
Atoms (fractional coordinates):
Mn1 0.7135 0.2865 0.7500
Mn2 0.2865 0.7135 0.2500
Mn3 0.6419 0.9587 0.6100
Mn4 0.0413 0.3581 0.8900
Mn5 0.3581 0.0413 0.3900
Mn6 0.9587 0.6419 0.1100
Ag1 0.9887 0.0113 0.2500
Ag2 0.0113 0.9887 0.7500
As1 0.3186 0.6814 0.7500
As2 0.6814 0.3186 0.2500
As3 0.3387 0.1029 0.8869
As4 0.8971 0.6613 0.6131
As5 0.6613 0.8971 0.1131
As6 0.1029 0.3387 0.3869
H1 0.5999 0.6281 0.7006
H2 0.3719 0.4001 0.7994
H3 0.4001 0.3719 0.2994
H4 0.6281 0.5999 0.2006
O1 0.7200 0.2125 0.4707
O2 0.7875 0.2800 0.0293
O3 0.2800 0.7875 0.5293
O4 0.2125 0.7200 0.9707
O5 0.5168 0.7150 0.7275
O6 0.2850 0.4832 0.7725
O7 0.4832 0.2850 0.2725
O8 0.7150 0.5168 0.2275
O9 0.6691 0.0260 0.8756
O10 0.9740 0.3309 0.6244
O11 0.3309 0.9740 0.1244
O12 0.0260 0.6691 0.3756
O13 0.7251 0.5434 0.6647
O14 0.4566 0.2749 0.8352
O15 0.2749 0.4566 0.3352
O16 0.5434 0.7251 0.1648
O17 0.4015 0.0202 0.6884
O18 0.9798 0.5985 0.8116
O19 0.5985 0.9798 0.3116
O20 0.0202 0.4015 0.1884
O21 0.8515 0.8502 0.5990
O22 0.1498 0.1485 0.9010
O23 0.1485 0.1498 0.4010
O24 0.8502 0.8515 0.0990

***

First-principles (r2SCAN) data for a geometry-optimized AgHg2AsO4 structure, as listed in the Materials Project database.

a = 6.3270 Å, b = 8.7869 Å, c = 9.6393 Å
α = 90.00°, β = 90.00°, γ = 90.00°
Atoms (fractional coordinates):
Ag1 0.5000 0.0302 0.8550
Ag2 0.5000 0.4698 0.3550
Ag3 0.5000 0.5302 0.6450
Ag4 0.5000 0.9698 0.1450
Hg1 0.2901 0.7411 0.4691
Hg2 0.7099 0.2589 0.5309
Hg3 0.2901 0.2411 0.0309
Hg4 0.2901 0.2589 0.5309
Hg5 0.7099 0.2411 0.0309
Hg6 0.7099 0.7589 0.9691
Hg7 0.2901 0.7589 0.9691
Hg8 0.7099 0.7411 0.4691
As1 0.0000 0.9635 0.7128
As2 0.0000 0.4635 0.7872
As3 0.0000 0.0365 0.2872
As4 0.0000 0.5365 0.2128
O1 0.0000 0.6733 0.0856
O2 0.2302 0.4383 0.1970
O3 0.0000 0.8819 0.8729
O4 0.0000 0.3819 0.6271
O5 0.0000 0.3267 0.9144
O6 0.2302 0.5617 0.8030
O7 0.0000 0.1181 0.1271
O8 0.2302 0.9383 0.3030
O9 0.0000 0.6181 0.3729
O10 0.2302 0.0617 0.6970
O11 0.7698 0.0617 0.6970
O12 0.0000 0.1733 0.4144
O13 0.7698 0.4383 0.1970
O14 0.0000 0.8267 0.5856
O15 0.7698 0.5617 0.8030
O16 0.7698 0.9383 0.3030

***

First-principles (r2SCAN) data for a geometry-optimized Na2AgAs structure, as listed in the Materials Project database.

a = 5.5968 Å, b = 5.7286 Å, c = 5.7286 Å
α = 99.70°, β = 90.00°, γ = 90.00°
Atoms (fractional coordinates):
Na1 0.2503 0.6789 0.0319
Na2 0.7503 0.3211 0.9681
Na3 0.2497 0.0319 0.6789
Na4 0.7497 0.9681 0.3211
Ag1 0.5000 0.4999 0.5001
Ag2 0.0000 0.5001 0.4999
As1 0.7500 0.7867 0.7867
As2 0.2500 0.2133 0.2133

***

First-principles (r2SCAN) data for a geometry-optimized NdAgAs2 structure, as listed in the Materials Project database.

a = 4.0310 Å, b = 4.0310 Å, c = 10.7043 Å
α = 90.00°, β = 90.00°, γ = 90.00°
Atoms (fractional coordinates):
Nd1 0.7500 0.7500 0.2724
Nd2 0.2500 0.2500 0.7276
Ag1 0.2500 0.7500 0.0000
Ag2 0.7500 0.2500 0.0000
As1 0.7500 0.7500 0.8244
As2 0.2500 0.2500 0.1756
As3 0.2500 0.7500 0.5000
As4 0.7500 0.2500 0.5000

***

First-principles (r2SCAN) data for a geometry-optimized NdAgAs2 structure, as listed in the Materials Project database.

a = 4.0307 Å, b = 4.0792 Å, c = 21.3493 Å
α = 90.00°, β = 90.00°, γ = 90.00°
Atoms (fractional coordinates):
Nd1 0.2501 0.7279 0.1150
Nd2 0.7502 0.2277 0.3850
Nd3 0.2498 0.7723 0.6150
Nd4 0.7499 0.2721 0.8850
Ag1 0.7502 0.7261 0.2499
Ag2 0.2502 0.2260 0.2501
Ag3 0.7498 0.7740 0.7499
Ag4 0.2498 0.2739 0.7501
As1 0.7502 0.2270 0.1618
As2 0.2501 0.7268 0.3383
As3 0.7498 0.2732 0.6617
As4 0.2498 0.7730 0.8382
As5 0.2500 0.1988 0.0019
As6 0.7500 0.6988 0.4982
As7 0.2500 0.3012 0.5018
As8 0.7500 0.8012 0.9982

***

First-principles (r2SCAN) data for a geometry-optimized Ag3AsO4 structure, as listed in the Materials Project database.

a = 6.1438 Å, b = 6.1438 Å, c = 6.1438 Å
α = 90.00°, β = 90.00°, γ = 90.00°
Atoms (fractional coordinates):
Ag1 0.0000 0.5000 0.2500
Ag2 0.0000 0.5000 0.7500
Ag3 0.7500 0.0000 0.5000
Ag4 0.5000 0.2500 0.0000
Ag5 0.2500 0.0000 0.5000
Ag6 0.5000 0.7500 0.0000
As1 0.5000 0.5000 0.5000
As2 0.0000 0.0000 0.0000
O1 0.8392 0.8392 0.8392
O2 0.6608 0.3392 0.6608
O3 0.3392 0.6608 0.6608
O4 0.6608 0.6608 0.3392
O5 0.3392 0.3392 0.3392
O6 0.1608 0.1608 0.8392
O7 0.1608 0.8392 0.1608
O8 0.8392 0.1608 0.1608

***

First-principles (r2SCAN) data for a geometry-optimized AgAsO3 structure, as listed in the Materials Project database.

a = 6.3891 Å, b = 6.3891 Å, c = 6.3891 Å
α = 45.13°, β = 45.13°, γ = 45.13°
Atoms (fractional coordinates):
Ag1 0.1449 0.1449 0.1449
Ag2 0.8551 0.8551 0.8551
As1 0.3354 0.3354 0.3354
As2 0.6646 0.6646 0.6646
O1 0.6784 0.0571 0.4458
O2 0.9429 0.5542 0.3216
O3 0.5542 0.3216 0.9429
O4 0.4458 0.6784 0.0571
O5 0.0571 0.4458 0.6784
O6 0.3216 0.9429 0.5542

***

First-principles (r2SCAN) data for a geometry-optimized Ag3AsO4 structure, as listed in the Materials Project database.

a = 6.1418 Å, b = 6.1418 Å, c = 6.1418 Å
α = 89.87°, β = 89.87°, γ = 89.87°
Atoms (fractional coordinates):
Ag1 0.7127 0.0037 0.5016
Ag2 0.0037 0.5016 0.7127
Ag3 0.5016 0.7127 0.0037
Ag4 0.2127 0.0016 0.5037
Ag5 0.5037 0.2127 0.0016
Ag6 0.0016 0.5037 0.2127
As1 0.5013 0.5013 0.5013
As2 0.0013 0.0013 0.0013
O1 0.6743 0.3427 0.6528
O2 0.6528 0.6743 0.3427
O3 0.3421 0.3421 0.3421
O4 0.3427 0.6528 0.6743
O5 0.8421 0.8421 0.8421
O6 0.1743 0.1528 0.8427
O7 0.1528 0.8427 0.1743
O8 0.8427 0.1743 0.1528

***

First-principles (r2SCAN) data for a geometry-optimized RbAg2As3Se6 structure, as listed in the Materials Project database.

a = 7.7393 Å, b = 10.0288 Å, c = 20.0589 Å
α = 60.26°, β = 90.00°, γ = 90.00°
Atoms (fractional coordinates):
Rb1 0.1779 0.1614 0.8322
Rb2 0.8221 0.8386 0.1678
Rb3 0.3221 0.1614 0.3322
Rb4 0.6779 0.8386 0.6678
Ag1 0.4674 0.4507 0.0804
Ag2 0.4870 0.3525 0.4997
Ag3 0.9870 0.6475 0.0003
Ag4 0.5326 0.5493 0.9196
Ag5 0.9674 0.5493 0.4196
Ag6 0.5130 0.6475 0.5003
Ag7 0.0130 0.3525 0.9997
Ag8 0.0326 0.4507 0.5804
As1 0.8502 0.9533 0.3540
As2 0.3714 0.6547 0.2765
As3 0.6189 0.2132 0.9188
As4 0.1189 0.7868 0.5812
As5 0.1498 0.0467 0.6460
As6 0.8811 0.2132 0.4188
As7 0.6498 0.9533 0.8540
As8 0.8714 0.3453 0.2235
As9 0.3811 0.7868 0.0812
As10 0.3502 0.0467 0.1460
As11 0.1286 0.6547 0.7765
As12 0.6286 0.3453 0.7235
Se1 0.2454 0.4538 0.8919
Se2 0.2546 0.4538 0.3919
Se3 0.8020 0.1332 0.7357
Se4 0.3020 0.8668 0.7643
Se5 0.7211 0.4100 0.3105
Se6 0.2789 0.5900 0.6895
Se7 0.3046 0.7346 0.9823
Se8 0.7054 0.7312 0.3721
Se9 0.7789 0.4100 0.8105
Se10 0.2946 0.2688 0.6279
Se11 0.2054 0.2688 0.1279
Se12 0.8046 0.2654 0.5177
Se13 0.7946 0.7312 0.8721
Se14 0.6980 0.1332 0.2357
Se15 0.2021 0.0122 0.0487
Se16 0.7979 0.9878 0.9513
Se17 0.2979 0.0122 0.5487
Se18 0.6954 0.2654 0.0177
Se19 0.2211 0.5900 0.1895
Se20 0.7021 0.9878 0.4513
Se21 0.1954 0.7346 0.4823
Se22 0.7454 0.5462 0.6081
Se23 0.1980 0.8668 0.2643
Se24 0.7546 0.5462 0.1081

***

First-principles (r2SCAN) data for a geometry-optimized Ag3Au structure, as listed in the Materials Project database.

a = 5.0273 Å, b = 5.0273 Å, c = 5.0273 Å
α = 131.63°, β = 131.63°, γ = 70.81°
Atoms (fractional coordinates):
Ag1 0.7500 0.2500 0.5000
Ag2 0.2500 0.7500 0.5000
Ag3 0.5000 0.5000 0.0000
Au1 0.0000 0.0000 0.0000

***

First-principles (r2SCAN) data for a geometry-optimized Ag3Au structure, as listed in the Materials Project database.

a = 5.8340 Å, b = 5.8340 Å, c = 4.7308 Å
α = 90.00°, β = 90.00°, γ = 120.00°
Atoms (fractional coordinates):
Ag1 0.1664 0.3328 0.2500
Ag2 0.6672 0.8336 0.2500
Ag3 0.1664 0.8336 0.2500
Ag4 0.8336 0.6672 0.7500
Ag5 0.3328 0.1664 0.7500
Ag6 0.8336 0.1664 0.7500
Au1 0.3333 0.6667 0.7500
Au2 0.6667 0.3333 0.2500

***

Number 1: E_form -411 meV/atom. Number 2: E_form -743 meV/atom. Number 3: E_form -352 meV/atom. Number 4: E_form -330 meV/atom. Number 5: E_form -356 meV/atom. Number 6: E_form -354 meV/atom. Number 7: E_form -902 meV/atom. Number 8: E_form -921 meV/atom. Number 9: E_form -2013 meV/atom. Number 10: E_form -1504 meV/atom. Number 11: E_form -818 meV/atom. Number 12: E_form -477 meV/atom. Number 13: E_form -890 meV/atom. Number 14: E_form -902 meV/atom. Number 15: E_form -753 meV/atom. Number 16: E_form -1007 meV/atom. Number 17: E_form -755 meV/atom. Number 18: E_form -358 meV/atom. Number 19: E_form -61 meV/atom. Number 20: E_form -50 meV/atom.